(1)
CsBiS2, optimized geometry, DFT meta-GGA r2SCAN; theoretical density = 4.9 g/cm³; crystal system = monoclinic; calculated volume = 34.7 A^3/atom; SG = No. 14; formation energy = -867 meV per atom; size of the total moment = 0.00 Bohr magnetons per cell
1.0
7.999 0.000 0.000
0.000 9.577 0.000
-1.604 0.000 7.245
Cs Bi S
4 4 8
Cartesian
0.582 0.662 2.081
-0.221 4.127 5.704
6.615 5.451 1.541
5.813 8.915 5.164
2.744 6.385 2.598
1.942 7.981 6.220
4.452 1.597 1.025
3.650 3.192 4.647
0.685 7.140 3.912
1.487 7.226 0.289
1.328 0.848 5.827
2.130 3.940 2.205
4.264 5.637 5.041
5.066 8.729 1.418
4.907 2.351 6.956
5.710 2.438 3.333

(2)
CsBi3S5, optimized geometry, DFT meta-GGA r2SCAN; theoretical density = 5.7 g/cm³; crystal system = orthorhombic; calculated volume = 29.6 A^3/atom; SG = No. 62; formation energy = -659 meV per atom; size of the total moment = 0.00 Bohr magnetons per cell
1.0
12.229 0.000 0.000
0.000 4.087 0.000
0.000 0.000 21.309
Cs Bi S
4 12 20
Cartesian
0.052 1.022 2.375
6.062 3.065 13.030
6.167 1.022 8.280
12.176 3.065 18.934
1.579 1.022 13.777
1.793 1.022 6.567
2.015 3.065 10.108
4.099 1.022 20.762
4.321 3.065 17.221
4.536 3.065 3.122
7.693 1.022 18.187
7.907 1.022 4.088
8.129 3.065 0.547
10.214 1.022 11.201
10.436 3.065 14.742
10.650 3.065 7.532
0.140 1.022 8.881
0.174 3.065 5.523
2.686 3.065 0.585
2.772 1.022 18.502
3.047 3.065 14.752
3.068 1.022 4.097
3.343 3.065 7.847
3.428 1.022 11.240
5.940 1.022 16.177
5.975 3.065 19.536
6.254 1.022 1.774
6.288 3.065 5.132
8.801 3.065 10.069
8.886 1.022 13.462
9.161 3.065 17.212
9.182 1.022 6.557
9.457 3.065 2.807
9.542 1.022 20.724
12.055 1.022 15.787
12.089 3.065 12.428

(3)
Cs2ZnBi2S5, optimized geometry, DFT meta-GGA r2SCAN; theoretical density = 5.0 g/cm³; crystal system = orthorhombic; calculated volume = 30.1 A^3/atom; SG = No. 62; formation energy = -919 meV per atom; size of the total moment = 0.00 Bohr magnetons per cell
1.0
15.966 0.000 0.000
0.000 4.117 0.000
0.000 0.000 18.292
Cs Zn Bi S
8 4 8 20
Cartesian
0.091 1.029 2.225
0.622 3.088 6.965
7.361 1.029 16.111
7.892 3.088 11.371
8.074 1.029 6.921
8.605 3.088 2.181
15.344 1.029 11.326
15.875 3.088 16.066
3.283 1.029 15.652
4.700 3.088 6.506
11.266 1.029 11.785
12.683 3.088 2.639
3.329 3.088 12.776
3.999 1.029 9.453
3.984 3.088 0.307
4.654 1.029 3.630
11.312 3.088 14.662
11.982 1.029 17.985
11.967 3.088 8.839
12.637 1.029 5.516
1.742 1.029 13.857
2.136 3.088 10.290
2.273 1.029 17.767
2.903 3.088 2.712
3.442 1.029 6.304
4.541 3.088 15.450
5.080 1.029 11.858
5.709 3.088 8.621
5.847 1.029 1.144
6.241 3.088 4.712
9.725 1.029 13.580
10.119 3.088 17.147
10.256 1.029 9.671
10.886 3.088 6.434
11.424 1.029 2.842
12.524 3.088 11.988
13.063 1.029 15.580
13.692 3.088 0.525
13.830 1.029 8.001
14.224 3.088 4.434

What is the calculated volume in the third record? 30.1 A^3/atom